1.
Below is Co23B6 after structural relaxation, with properties calculated at the GGA-PBE level.

Cell: 7.377 7.377 7.377 Å, 60.00 60.00 60.00°
Fractional coordinates of all 29 atoms:
Co: 0.750 0.750 0.750
Co: 0.620 0.140 0.620
Co: 0.620 0.620 0.140
Co: 0.380 0.860 0.380
Co: 0.250 0.250 0.250
Co: 0.338 0.000 0.662
Co: 0.000 0.000 0.338
Co: 0.662 0.338 0.000
Co: 0.662 0.000 0.338
Co: 0.000 0.662 0.338
Co: 0.000 0.338 0.662
Co: 0.662 0.000 0.000
Co: 0.140 0.620 0.620
Co: 0.380 0.380 0.860
Co: 0.860 0.380 0.380
Co: 0.000 0.000 0.662
Co: 0.338 0.000 0.000
Co: 0.620 0.620 0.620
Co: 0.000 0.662 0.000
Co: 0.380 0.380 0.380
Co: 0.000 0.000 0.000
Co: 0.000 0.338 0.000
Co: 0.338 0.662 0.000
B: 0.724 0.724 0.276
B: 0.276 0.724 0.276
B: 0.276 0.724 0.724
B: 0.724 0.276 0.724
B: 0.276 0.276 0.724
B: 0.724 0.276 0.276

Values from the calculation:
Energy relative to the elements ... -0.15 eV/atom
Energy ... -7.1675 eV per atom

---

2.
Below is LiB4Ir4 after structural relaxation, with properties calculated at the GGA-PBE level.

Cell: 6.596 6.596 6.075 Å, 108.14 108.14 115.24°
Fractional coordinates of all 18 atoms:
Ir: 0.842 0.606 0.484
Ir: 0.128 0.392 0.984
Ir: 0.608 0.872 0.016
Ir: 0.856 0.592 0.984
Ir: 0.122 0.358 0.516
Ir: 0.642 0.878 0.484
Ir: 0.408 0.144 0.016
Ir: 0.394 0.158 0.516
B: 0.564 0.593 0.676
B: 0.843 0.314 0.176
B: 0.407 0.436 0.324
B: 0.917 0.888 0.324
B: 0.333 0.862 0.176
B: 0.112 0.083 0.676
B: 0.138 0.667 0.824
B: 0.686 0.157 0.824
Li: 0.000 0.000 0.000
Li: 0.250 0.750 0.500

Values from the calculation:
Magnetic moment ... 0.000 μB per atom
Energy relative to the elements ... -0.10 eV/atom
Energy ... -7.2127 eV per atom

---

3.
Below is SbH7F11 after structural relaxation, with properties calculated at the GGA-PBE level.

Cell: 6.159 6.548 26.527 Å, 86.68 88.75 88.72°
Fractional coordinates of all 95 atoms:
Sb: 0.856 0.815 0.629
Sb: 0.428 0.456 0.803
Sb: 0.248 0.247 0.422
Sb: 0.837 0.922 0.988
Sb: 0.570 0.613 0.208
F: 0.939 0.241 0.279
F: 0.431 0.117 0.783
F: 0.408 0.483 0.428
F: 0.451 0.077 0.388
F: 0.910 0.417 0.098
F: 0.689 0.563 0.281
F: 0.283 0.930 0.721
F: 0.823 0.392 0.673
F: 0.982 0.115 0.923
F: 0.580 0.273 0.889
F: 0.959 0.774 0.702
F: 0.650 0.059 0.681
F: 0.305 0.965 0.073
F: 0.780 0.801 0.923
F: 0.453 0.505 0.728
F: 0.962 0.840 0.815
F: 0.936 0.873 0.073
F: 0.484 0.665 0.135
F: 0.699 0.882 0.203
F: 0.147 0.116 0.171
F: 0.154 0.791 0.468
F: 0.982 0.296 0.456
F: 0.675 0.778 0.458
F: 0.859 0.511 0.181
F: 0.002 0.740 0.293
F: 0.290 0.046 0.262
F: 0.982 0.082 0.619
F: 0.124 0.812 0.984
F: 0.642 0.012 0.300
F: 0.568 0.131 0.121
F: 0.318 0.353 0.653
F: 0.818 0.930 0.536
F: 0.501 0.316 0.201
F: 0.039 0.330 0.747
F: 0.447 0.124 0.588
F: 0.204 0.684 0.219
F: 0.314 0.366 0.992
F: 0.272 0.475 0.085
F: 0.351 0.115 0.482
F: 0.553 0.036 0.975
F: 0.895 0.178 0.013
F: 0.643 0.328 0.524
F: 0.967 0.639 0.406
F: 0.912 0.036 0.387
F: 0.364 0.717 0.340
F: 0.342 0.597 0.902
F: 0.156 0.332 0.355
F: 0.702 0.683 0.016
F: 0.902 0.525 0.564
F: 0.175 0.726 0.616
F: 0.560 0.729 0.810
F: 0.742 0.370 0.801
F: 0.354 0.681 0.539
F: 0.889 0.479 0.895
F: 0.332 0.992 0.894
H: 0.404 0.479 0.987
H: 0.086 0.450 0.090
H: 0.360 0.562 0.109
H: 0.089 0.925 0.076
H: 0.447 0.055 0.913
H: 0.555 0.244 0.549
H: 0.390 0.205 0.616
H: 0.066 0.694 0.433
H: 0.124 0.718 0.253
H: 0.201 0.105 0.204
H: 0.026 0.249 0.309
H: 0.439 0.040 0.275
H: 0.764 0.860 0.507
H: 0.930 0.375 0.701
H: 0.775 0.701 0.436
H: 0.395 0.039 0.097
H: 0.712 0.357 0.895
H: 0.532 0.188 0.154
H: 0.813 0.804 0.811
H: 0.211 0.716 0.340
H: 0.851 0.618 0.907
H: 0.854 0.662 0.290
H: 0.128 0.065 0.911
H: 0.380 0.407 0.683
H: 0.247 0.739 0.499
H: 0.764 0.100 0.289
H: 0.880 0.455 0.136
H: 0.724 0.191 0.676
H: 0.263 0.698 0.572
H: 0.137 0.866 0.716
H: 0.342 0.743 0.897
H: 0.796 0.438 0.548
H: 0.763 0.043 0.398
H: 0.911 0.341 0.772
H: 0.354 0.037 0.757

Values from the calculation:
Corrected total energy (MP2020 scheme) ... -4.51 eV/atom
Magnetic moment ... 0.011 μB per atom
Energy relative to the elements ... -1.93 eV/atom
Energy ... -4.2382 eV per atom

---

4.
Below is Cs3Mo2I9 after structural relaxation, with properties calculated at the GGA-PBE level.

Cell: 8.445 8.445 20.459 Å, 90.00 90.00 120.00°
Fractional coordinates of all 28 atoms:
Cs: 0.000 0.000 0.750
Cs: 0.667 0.333 0.934
Cs: 0.000 0.000 0.250
Cs: 0.333 0.667 0.434
Cs: 0.667 0.333 0.566
Cs: 0.333 0.667 0.066
I: 0.822 0.644 0.404
I: 0.178 0.356 0.596
I: 0.010 0.505 0.750
I: 0.822 0.644 0.096
I: 0.822 0.178 0.096
I: 0.178 0.822 0.596
I: 0.505 0.010 0.250
I: 0.990 0.495 0.250
I: 0.505 0.495 0.250
I: 0.178 0.356 0.904
I: 0.495 0.990 0.750
I: 0.178 0.822 0.904
I: 0.644 0.822 0.596
I: 0.356 0.178 0.096
I: 0.644 0.822 0.904
I: 0.356 0.178 0.404
I: 0.822 0.178 0.404
I: 0.495 0.505 0.750
Mo: 0.333 0.667 0.677
Mo: 0.667 0.333 0.177
Mo: 0.667 0.333 0.323
Mo: 0.333 0.667 0.823

Values from the calculation:
Corrected total energy (MP2020 scheme) ... -3.76 eV/atom
Magnetic moment ... 0.286 μB per atom
Energy relative to the elements ... -1.04 eV/atom
Energy ... -3.5156 eV per atom

---

5.
Below is Nb3V3Ir2 after structural relaxation, with properties calculated at the GGA-PBE level.

Cell: 4.998 4.998 4.998 Å, 89.88 90.12 90.12°
Fractional coordinates of all 8 atoms:
V: 0.503 0.250 0.003
V: 0.750 0.003 0.497
V: 0.997 0.497 0.250
Nb: 0.997 0.497 0.750
Nb: 0.250 0.003 0.497
Nb: 0.503 0.750 0.003
Ir: 0.996 0.004 0.004
Ir: 0.504 0.496 0.496

Values from the calculation:
Magnetic moment ... 0.000 μB per atom
Energy relative to the elements ... -0.40 eV/atom
Energy ... -9.8090 eV per atom

---

6.
Below is SrPPt after structural relaxation, with properties calculated at the GGA-PBE level.

Cell: 4.138 4.138 4.524 Å, 90.00 90.00 120.00°
Fractional coordinates of all 3 atoms:
Sr: 0.667 0.333 0.000
P: 0.333 0.667 0.500
Pt: 0.000 0.000 0.500

Values from the calculation:
Energy relative to the elements ... -1.09 eV/atom
Energy ... -5.4843 eV per atom

---

7.
Below is BeH2 after structural relaxation, with properties calculated at the GGA-PBE level.

Cell: 6.175 6.175 6.175 Å, 141.75 104.17 88.27°
Fractional coordinates of all 18 atoms:
H: 0.758 0.678 0.613
H: 0.816 0.046 0.230
H: 0.184 0.954 0.770
H: 0.064 0.678 0.920
H: 0.436 0.855 0.113
H: 0.316 0.585 0.270
H: 0.564 0.145 0.887
H: 0.242 0.322 0.387
H: 0.936 0.322 0.080
H: 0.258 0.145 0.580
H: 0.684 0.415 0.730
H: 0.742 0.855 0.420
Be: 0.750 0.000 0.750
Be: 0.832 0.711 0.879
Be: 0.332 0.953 0.621
Be: 0.168 0.289 0.121
Be: 0.250 0.000 0.250
Be: 0.668 0.047 0.379

Values from the calculation:
Corrected total energy (MP2020 scheme) ... -3.67 eV/atom
Energy relative to the elements ... -0.17 eV/atom
Energy ... -3.5555 eV per atom

---

8.
Below is H10PtC4N2Cl6 after structural relaxation, with properties calculated at the GGA-PBE level.

Cell: 7.399 8.253 8.221 Å, 95.50 116.47 63.10°
Fractional coordinates of all 23 atoms:
Cl: 0.490 0.708 0.716
Cl: 0.563 0.671 0.343
Cl: 0.902 0.327 0.684
Cl: 0.455 0.316 0.673
Cl: 0.110 0.657 0.329
Cl: 0.519 0.284 0.292
C: 0.135 0.657 0.911
C: 0.900 0.363 0.104
C: 0.840 0.896 0.637
C: 0.118 0.089 0.343
H: 0.192 0.511 0.898
H: 0.257 0.021 0.302
H: 0.800 0.928 0.494
H: 0.971 0.313 0.003
H: 0.024 0.698 0.979
H: 0.195 0.102 0.489
H: 0.032 0.005 0.320
H: 0.284 0.680 0.995
H: 0.766 0.506 0.072
H: 0.719 0.997 0.687
N: 0.014 0.759 0.737
N: 0.964 0.263 0.241
Pt: 0.506 0.494 0.506

Values from the calculation:
Corrected total energy (MP2020 scheme) ... -4.82 eV/atom
Magnetic moment ... 0.087 μB per atom
Energy relative to the elements ... -0.26 eV/atom
Energy ... -4.6550 eV per atom

---

- What is the energy relative to the elements in the sixth record?
  -1.09 eV/atom

---

Please write out number 6 again, unchanged.
Below is SrPPt after structural relaxation, with properties calculated at the GGA-PBE level.

Cell: 4.138 4.138 4.524 Å, 90.00 90.00 120.00°
Fractional coordinates of all 3 atoms:
Sr: 0.667 0.333 0.000
P: 0.333 0.667 0.500
Pt: 0.000 0.000 0.500

Values from the calculation:
Energy relative to the elements ... -1.09 eV/atom
Energy ... -5.4843 eV per atom